The following is a PBE calculation of crystalline Nd2ZnGa at its relaxed geometry, from the Materials Project.

a b c (Å): 7.398 7.398 7.398
angles (deg): 90.00 90.00 90.00
Space group Fm-3m (No. 225)
Unique sites:
Nd1 0.250 0.250 0.250 (multiplicity 8)
Zn1 0.000 0.000 0.000 (multiplicity 4)
Ga1 0.000 0.000 0.500 (multiplicity 4)

=====

The following is a PBE calculation of crystalline NdZn2Ga2 at its relaxed geometry, from the Materials Project.

a b c (Å): 4.268 4.268 10.690
angles (deg): 90.00 90.00 90.00
Space group I4/mmm (No. 139)
Unique sites:
Nd1 0.000 0.000 0.000 (multiplicity 2)
Zn1 0.000 0.000 0.386 (multiplicity 4)
Ga1 0.000 0.500 0.250 (multiplicity 4)

=====

The following is a PBE calculation of crystalline Ga3Ni5 at its relaxed geometry, from the Materials Project.

a b c (Å): 6.802 7.502 3.716
angles (deg): 90.00 90.00 90.00
Space group Cmmm (No. 65)
Unique sites:
Ga1 0.000 0.000 0.000 (multiplicity 2)
Ga2 0.000 0.280 0.500 (multiplicity 4)
Ni1 0.000 0.500 0.000 (multiplicity 2)
Ni2 0.228 0.000 0.500 (multiplicity 4)
Ni3 0.250 0.250 0.000 (multiplicity 4)

=====

The following is a PBE calculation of crystalline Ga9Ni13 at its relaxed geometry, from the Materials Project.

a b c (Å): 9.952 7.902 8.477
angles (deg): 90.00 125.72 90.00
Space group C2/m (No. 12)
Unique sites:
Ga1 0.000 0.000 0.000 (multiplicity 2)
Ga2 0.039 0.290 0.809 (multiplicity 8)
Ga3 0.170 0.500 0.613 (multiplicity 4)
Ga4 0.208 0.000 0.667 (multiplicity 4)
Ni1 0.000 0.240 0.500 (multiplicity 4)
Ni2 0.000 0.500 0.000 (multiplicity 2)
Ni3 0.051 0.000 0.321 (multiplicity 4)
Ni4 0.196 0.239 0.161 (multiplicity 8)
Ni5 0.242 0.000 0.988 (multiplicity 4)
Ni6 0.250 0.250 0.500 (multiplicity 4)

=====

So what do the calculations give for calculated volume? Going down the list: 101.22; 97.39; 94.82; 270.60 Å³/f.u..
So what do the calculations give for DFT formation energy? Going down the list: -172; -226; -290; -827 kJ/mol of formula units.